[1]
## Tb2CoGe4 (r2SCAN)

Data for a relaxed structure of Tb2CoGe4.

a = 4.126 Å, b = 4.057 Å, c = 8.276 Å
α = 90.00°, β = 104.38°, γ = 90.00°
Space group Pm (No. 6)
Inequivalent atoms, fractional coordinates:
Tb 0.000 0.000 0.000
Tb 0.212 0.500 0.424
Co 0.797 0.000 0.593
Ge 0.364 0.000 0.728
Ge 0.554 0.500 0.109
Ge 0.655 0.000 0.308
Ge 0.863 0.500 0.725

Computed properties:
Crystal system   monoclinic


[2]
## Lu3Ge3Ir2 (r2SCAN)

Data for a relaxed structure of Lu3Ge3Ir2.

a = 4.255 Å, b = 10.192 Å, c = 14.010 Å
α = 90.00°, β = 90.00°, γ = 90.00°
Space group Cmcm (No. 63)
Inequivalent atoms, fractional coordinates:
Lu 0.000 0.085 0.110
Lu 0.000 0.356 0.250
Ge 0.000 0.348 0.750
Ge 0.000 0.378 0.035
Ir 0.000 0.200 0.603

Computed properties:
Crystal system   orthorhombic


[3]
## TiAg (r2SCAN)

Data for a relaxed structure of TiAg.

a = 2.904 Å, b = 2.904 Å, c = 8.133 Å
α = 90.00°, β = 90.00°, γ = 90.00°
Space group P4/nmm (No. 129, origin choice 2)
Inequivalent atoms, fractional coordinates:
Ti 0.250 0.250 0.117
Ag 0.250 0.250 0.627

Computed properties:
Crystal system   tetragonal


[4]
## Dy2SO2 (r2SCAN)

Data for a relaxed structure of Dy2SO2.

a = 3.7849 Å, b = 3.7849 Å, c = 6.5833 Å
α = 90.00°, β = 90.00°, γ = 120.00°
Space group P-3m1 (No. 164)
Inequivalent atoms, fractional coordinates:
Dy 0.3333 0.6667 0.2831
S 0.0000 0.0000 0.0000
O 0.3333 0.6667 0.6291

Computed properties:
Crystal system   trigonal


[5]
## Li7RuO6 (r2SCAN)

Data for a relaxed structure of Li7RuO6.

a = 5.259 Å, b = 5.334 Å, c = 5.743 Å
α = 90.81°, β = 116.02°, γ = 119.31°
Space group P1 (No. 1)
Inequivalent atoms, fractional coordinates:
Li 0.000 0.000 0.000
Li 0.039 0.851 0.423
Li 0.152 0.253 0.728
Li 0.451 0.748 0.014
Li 0.591 0.127 0.381
Li 0.688 0.351 0.009
Li 0.895 0.596 0.743
Ru 0.304 0.502 0.387
O 0.141 0.725 0.143
O 0.158 0.585 0.621
O 0.416 0.393 0.126
O 0.452 0.273 0.613
O 0.766 0.863 0.605
O 0.851 0.126 0.184

Computed properties:
Crystal system   triclinic


[6]
## Er3Pb (r2SCAN)

Data for a relaxed structure of Er3Pb.

a = 6.7960 Å, b = 6.7960 Å, c = 5.5861 Å
α = 90.00°, β = 90.00°, γ = 120.00°
Space group P6_3/mmc (No. 194)
Inequivalent atoms, fractional coordinates:
Er 0.1689 0.3378 0.2500
Pb 0.3333 0.6667 0.7500

Computed properties:
Crystal system   hexagonal


[7]
## HoMnB4 (r2SCAN)

Data for a relaxed structure of HoMnB4.

a = 5.925 Å, b = 11.469 Å, c = 3.374 Å
α = 90.00°, β = 90.00°, γ = 90.00°
Space group Pbam (No. 55)
Inequivalent atoms, fractional coordinates:
Ho 0.127 0.150 0.000
Mn 0.132 0.414 0.000
B 0.024 0.691 0.500
B 0.113 0.547 0.500
B 0.138 0.968 0.500
B 0.216 0.815 0.500

Computed properties:
Crystal system   orthorhombic


[8]
## LaN (r2SCAN)

Data for a relaxed structure of LaN.

a = 4.1362 Å, b = 4.1362 Å, c = 5.9226 Å
α = 90.00°, β = 90.00°, γ = 120.00°
Space group P6_3mc (No. 186)
Inequivalent atoms, fractional coordinates:
La 0.3333 0.6667 0.0000
N 0.3333 0.6667 0.4149

Computed properties:
Crystal system   hexagonal


What did we get for total magnetization? Answer: 0.0 0.0 0.0 0.0 3.0 4.2 7.3 0.0 Bohr magnetons per cell, in the order shown.
What did we get for electronic total energy? Answer: -135.90 -268.87 -34.40 -101.75 -104.78 -159.38 -81.12 -41.99 eV per formula unit, in the order shown.
What did we get for energy of formation? Answer: -15.57 -23.93 -1.26 -82.11 -44.17 -7.59 -16.04 -35.95 kcal/mol of atoms, in the order shown.